The following is a PBE calculation of a geometry-optimized EuSi structure, from the Materials Project.

Computed properties:
- energy of formation from the pure elements (eV per formula unit) = -1.15
- ρ (kg/m3) = 5904

Geometry as POSCAR:
```
EuSi
1.0
2.297 -5.549 0.000
2.297 5.549 0.000
0.000 0.000 3.974
Si Eu
2 2
Direct
0.566 0.434 0.750
0.434 0.566 0.250
0.140 0.860 0.250
0.860 0.140 0.750
```